1.
# RbHF2 (GGA-PBE, relaxed)
# Energy of formation from the pure elements ... -2.486 eV/atom
data_RbHF2
_symmetry_space_group_name_H-M 'I 4/m c m'
_symmetry_Int_Tables_number 140
_symmetry_space_group_name_Hall '-I 4 2c'
_cell_length_a 5.9724
_cell_length_b 5.9724
_cell_length_c 7.3451
_cell_angle_alpha 90.00
_cell_angle_beta 90.00
_cell_angle_gamma 90.00
loop_
_atom_site_label
_atom_site_type_symbol
_atom_site_fract_x
_atom_site_fract_y
_atom_site_fract_z
Rb1 Rb 0.0000 0.0000 0.2500
H1 H 0.0000 0.5000 0.0000
F1 F 0.1364 0.3636 0.0000

***

2.
# Pr2AlNO3 (GGA-PBE, relaxed)
# Magnetization ... 0.00 μB per cell
# Energy of formation from the pure elements ... -2.998 eV/atom
data_Pr2AlNO3
_symmetry_space_group_name_H-M 'I 4 m m'
_symmetry_Int_Tables_number 107
_symmetry_space_group_name_Hall 'I 4 -2'
_cell_length_a 3.7554
_cell_length_b 3.7554
_cell_length_c 12.6717
_cell_angle_alpha 90.00
_cell_angle_beta 90.00
_cell_angle_gamma 90.00
loop_
_atom_site_label
_atom_site_type_symbol
_atom_site_fract_x
_atom_site_fract_y
_atom_site_fract_z
Pr1 Pr 0.0000 0.0000 0.0000
Pr2 Pr 0.0000 0.0000 0.2884
Al1 Al 0.0000 0.0000 0.6377
N1 N 0.0000 0.0000 0.4774
O1 O 0.0000 0.0000 0.8090
O2 O 0.0000 0.5000 0.1499

***

3.
# Y2Mn5Co12 (GGA-PBE, relaxed)
# Magnetization ... 53.10 μB per cell
# Energy of formation from the pure elements ... -0.030 eV/atom
data_Y2Mn5Co12
_symmetry_space_group_name_H-M 'R -3 m'
_symmetry_Int_Tables_number 166
_symmetry_space_group_name_Hall '-R 3 2"'
_cell_length_a 8.2718
_cell_length_b 8.2718
_cell_length_c 12.0673
_cell_angle_alpha 90.00
_cell_angle_beta 90.00
_cell_angle_gamma 120.00
loop_
_atom_site_label
_atom_site_type_symbol
_atom_site_fract_x
_atom_site_fract_y
_atom_site_fract_z
Y1 Y 0.0000 0.0000 0.1516
Mn1 Mn 0.0000 0.0000 0.4095
Mn2 Mn 0.0000 0.5000 0.0000
Co1 Co 0.0000 0.2917 0.5000
Co2 Co 0.0099 0.5050 0.3482

***

4.
# Mg3C (GGA-PBE, relaxed)
# Magnetization ... 0.00 μB per cell
# Energy of formation from the pure elements ... 0.684 eV/atom
data_Mg3C
_symmetry_space_group_name_H-M 'P 4 m m'
_symmetry_Int_Tables_number 99
_cell_length_a 3.8951
_cell_length_b 3.8951
_cell_length_c 4.9697
_cell_angle_alpha 90.00
_cell_angle_beta 90.00
_cell_angle_gamma 90.00
loop_
_symmetry_equiv_pos_as_xyz
'x,y,z'
'-y,x,z'
'-x,-y,z'
'y,-x,z'
'-x,y,z'
'y,x,z'
'x,-y,z'
'-y,-x,z'
loop_
_atom_site_label
_atom_site_type_symbol
_atom_site_fract_x
_atom_site_fract_y
_atom_site_fract_z
Mg1 Mg 0.0000 0.0000 0.0000
Mg2 Mg 0.0000 0.5000 0.5264
C1 C 0.5000 0.5000 0.7369